[1]
A relaxed In2Ag crystal. Source: the Materials Project, functional r²SCAN.

Geometry as CIF:
```
data_In2Ag
_chemical_formula_sum 'In4 Ag2'
_cell_length_a 5.575
_cell_length_b 5.646
_cell_length_c 5.646
_cell_angle_alpha 75.89
_cell_angle_beta 60.41
_cell_angle_gamma 60.41
_space_group_name_H-M_alt 'P 1'
_space_group_IT_number 1
loop_
_space_group_symop_operation_xyz
'x,y,z'
loop_
_atom_site_label
_atom_site_type_symbol
_atom_site_fract_x
_atom_site_fract_y
_atom_site_fract_z
In1 In 0.655 0.191 0.500
In2 In 0.155 0.500 0.191
Ag1 Ag 0.750 0.000 0.000
In3 In 0.845 0.500 0.809
Ag2 Ag 0.250 0.000 0.000
In4 In 0.345 0.809 0.500
```

Calculated values
Energy (eV for the cell shown): -133.33
Total moment (Bohr magnetons per cell): 0.00
Volume (A^3/atom): 22.395
Space-group type: I4/mcm


[2]
A relaxed EuMg2 crystal. Source: the Materials Project, functional r²SCAN.

Geometry as CIF:
```
data_EuMg2
_chemical_formula_sum 'Eu2 Mg4'
_cell_length_a 6.285
_cell_length_b 6.285
_cell_length_c 6.283
_cell_angle_alpha 120.01
_cell_angle_beta 59.99
_cell_angle_gamma 120.00
_space_group_name_H-M_alt 'P 1'
_space_group_IT_number 1
loop_
_space_group_symop_operation_xyz
'x,y,z'
loop_
_atom_site_label
_atom_site_type_symbol
_atom_site_fract_x
_atom_site_fract_y
_atom_site_fract_z
Eu1 Eu 0.125 0.208 0.625
Mg1 Mg 0.000 0.833 0.000
Eu2 Eu 0.875 0.458 0.375
Mg2 Mg 0.500 0.333 0.000
Mg3 Mg 0.500 0.833 0.500
Mg4 Mg 0.500 0.833 0.000
```

Calculated values
Energy (eV for the cell shown): -94.43
Total moment (Bohr magnetons per cell): 14.98
Volume (A^3/atom): 29.245
Space-group type: Fd-3m